(1)
Below is a geometry-optimized AlSi3O8 structure, with properties calculated at the PBE-GGA level.

The structure in POSCAR format:
```
AlSi3O8
1.0
-5.005 -0.475 0.400
0.765 -0.631 8.823
-0.054 8.302 9.181
Al Si O
2 6 16
Cartesian
-2.782 4.809 12.128 Al
-1.268 0.799 7.418 Al
-3.567 1.691 12.094 Si
-0.542 6.670 10.742 Si
-1.837 1.216 1.841 Si
-4.007 2.188 6.430 Si
-3.188 5.242 6.537 Si
0.016 6.185 16.396 Si
-1.548 5.448 11.068 O
0.007 1.750 11.043 O
-4.165 5.871 11.914 O
-3.139 1.292 2.824 O
-0.160 2.097 7.005 O
-1.784 5.574 7.304 O
-2.752 1.181 6.576 O
-3.626 5.559 15.922 O
-3.188 3.188 11.649 O
-1.105 -0.222 2.098 O
-3.588 3.696 6.885 O
-0.701 7.578 16.039 O
-2.240 4.820 13.777 O
-4.533 2.221 4.890 O
-0.281 6.778 9.139 O
-1.536 0.733 9.132 O
```

- MP2020-corrected energy: -8.041 eV/atom
- Calculated total energy: -181.99 eV/cell
- Formation enthalpy at 0 K: -3.0736 eV/atom



(2)
Below is a geometry-optimized AlSi3O8 structure, with properties calculated at the PBE-GGA level.

The structure in POSCAR format:
```
AlSi3O8
1.0
-0.845 -8.813 0.953
2.926 0.154 4.019
-6.993 1.220 5.078
Al Si O
2 6 16
Cartesian
-1.806 -5.304 5.269 Al
-2.975 -0.762 4.633 Al
-5.675 -0.308 6.394 Si
0.895 -5.749 3.507 Si
1.770 -2.828 4.073 Si
-6.843 -6.275 6.157 Si
-0.664 -2.410 6.037 Si
-4.414 -6.748 4.199 Si
-2.871 0.656 3.610 O
-1.621 -3.708 5.965 O
1.672 -6.807 4.488 O
-6.657 -1.385 5.644 O
-5.884 -6.665 4.901 O
0.781 -2.756 5.364 O
-4.171 -0.497 5.860 O
-0.607 -5.535 4.038 O
-6.129 -5.120 7.060 O
1.268 -1.778 2.932 O
1.744 -4.344 3.467 O
-6.244 1.207 6.118 O
-3.350 -2.100 3.554 O
-1.667 -6.429 6.614 O
-1.391 -1.183 5.254 O
-3.453 -5.541 4.719 O
```

- MP2020-corrected energy: -8.033 eV/atom
- Calculated total energy: -181.80 eV/cell
- Formation enthalpy at 0 K: -3.0661 eV/atom



(3)
Below is a geometry-optimized Al2Si2O9 structure, with properties calculated at the PBE-GGA level.

The structure in POSCAR format:
```
Al2Si2O9
1.0
5.134 -0.002 -1.374
0.005 -0.134 -7.910
-0.080 9.080 -0.493
Al Si O
4 4 18
Cartesian
1.400 4.274 -5.270 Al
1.643 7.504 -5.542 Al
4.288 8.967 -6.218 Al
4.473 2.707 -5.765 Al
0.165 2.775 -7.659 Si
0.314 5.808 -7.744 Si
2.767 7.397 -8.482 Si
2.846 1.281 -8.224 Si
0.404 2.978 -6.033 O
1.034 5.806 -6.206 O
0.246 4.415 -0.379 O
1.330 1.863 -8.305 O
1.305 6.812 -0.777 O
2.946 7.713 -6.864 O
3.429 1.347 -6.678 O
2.780 8.950 -1.346 O
3.950 6.417 -9.032 O
3.809 2.283 -1.311 O
0.425 8.700 -6.145 O
-0.002 1.297 -3.517 O
0.366 4.164 -3.840 O
0.311 7.619 -4.290 O
3.159 4.074 -6.086 O
3.044 7.150 -4.254 O
3.039 8.505 -4.481 O
2.961 3.471 -4.717 O
```

- MP2020-corrected energy: -7.081 eV/atom
- Calculated total energy: -181.21 eV/cell
- Formation enthalpy at 0 K: -2.2447 eV/atom



(4)
Below is a geometry-optimized Al2Si2O9 structure, with properties calculated at the PBE-GGA level.

The structure in POSCAR format:
```
Al2Si2O9
1.0
5.218 0.000 0.000
-2.587 -4.538 0.000
-2.009 0.228 -7.432
Al Si O
2 2 9
Cartesian
3.454 0.093 -3.251 Al
-1.524 -2.797 -3.250 Al
0.135 -2.987 -0.486 Si
2.808 -1.432 -0.480 Si
-0.005 -3.111 -2.132 O
2.975 -1.380 -2.129 O
-1.645 -4.246 -7.312 O
1.375 -2.048 -0.066 O
-3.241 -2.141 -7.301 O
-2.625 -4.158 -2.526 O
-1.066 -1.303 -4.304 O
-0.660 -4.104 -4.299 O
1.967 -3.081 -4.177 O
```

- MP2020-corrected energy: -7.353 eV/atom
- Calculated total energy: -89.41 eV/cell
- Formation enthalpy at 0 K: -2.5167 eV/atom



The lowest formation enthalpy at 0 K belongs to which entry?
number 1